*a*
Density functional theory data (PBE) for a geometry-optimized ZrTiCr4 structure.

Values from the calculation:
Theoretical density (g cm⁻³): 6.693
Spin magnetization (Bohr magnetons per cell): 0.000
V (Å³/cell): 172.22

POSCAR file:
```
ZrTiCr4
1.0
5.0008 0.0000 0.0000
-2.5004 4.3308 0.0000
0.0000 0.0000 7.9520
Zr Ti Cr
2 2 8
Direct
0.3333 0.6667 0.0649 Zr
0.6667 0.3333 0.9351 Zr
0.3333 0.6667 0.4440 Ti
0.6667 0.3333 0.5560 Ti
0.0000 0.0000 0.0000 Cr
0.0000 0.0000 0.5000 Cr
0.1691 0.3382 0.7406 Cr
0.1691 0.8309 0.7406 Cr
0.3382 0.1691 0.2594 Cr
0.6618 0.8309 0.7406 Cr
0.8309 0.1691 0.2594 Cr
0.8309 0.6618 0.2594 Cr
```


*b*
Density functional theory data (PBE) for a geometry-optimized ZrTiCr4 structure.

Values from the calculation:
Theoretical density (g cm⁻³): 6.677
V (Å³/cell): 86.32

POSCAR file:
```
ZrTiCr4
1.0
0.0000 3.5078 3.5078
3.5078 0.0000 3.5078
3.5078 3.5078 0.0000
Zr Ti Cr
1 1 4
Direct
0.0000 0.0000 0.0000 Zr
0.7500 0.7500 0.7500 Ti
0.3752 0.3752 0.3752 Cr
0.3752 0.3752 0.8745 Cr
0.3752 0.8745 0.3752 Cr
0.8745 0.3752 0.3752 Cr
```


Which of them is least stable? Easy: *a*.


*a*
Density functional theory data (PBE) for a geometry-optimized CsMg14Cu structure.

Values from the calculation:
Theoretical density (g cm⁻³): 2.270
Spin magnetization (Bohr magnetons per cell): 0.000
V (Å³/cell): 392.68

POSCAR file:
```
CsMg14Cu
1.0
6.4883 0.0000 0.0000
-3.2442 5.6190 0.0000
0.0000 0.0000 10.7706
Cs Mg Cu
1 14 1
Direct
0.0000 0.0000 0.0000 Cs
0.0060 0.5030 0.0000 Mg
0.1662 0.3323 0.2824 Mg
0.1662 0.3323 0.7176 Mg
0.1662 0.8338 0.2824 Mg
0.1662 0.8338 0.7176 Mg
0.4970 0.5030 0.0000 Mg
0.4970 0.9940 0.0000 Mg
0.5061 0.0123 0.5000 Mg
0.5061 0.4939 0.5000 Mg
0.6667 0.3333 0.2442 Mg
0.6667 0.3333 0.7558 Mg
0.6677 0.8338 0.2824 Mg
0.6677 0.8338 0.7176 Mg
0.9877 0.4939 0.5000 Mg
0.0000 0.0000 0.5000 Cu
```


*b*
Density functional theory data (PBE) for a geometry-optimized CsMg14Cu structure.

Values from the calculation:
Theoretical density (g cm⁻³): 2.278
Spin magnetization (Bohr magnetons per cell): 0.000
V (Å³/cell): 391.17

POSCAR file:
```
CsMg14Cu
1.0
10.7163 0.0000 0.0000
0.0000 3.1842 5.7317
0.0000 -3.1842 5.7317
Cs Mg Cu
1 14 1
Direct
0.0000 0.0000 0.0000 Cs
0.0000 0.0095 0.4934 Mg
0.0000 0.4934 0.0095 Mg
0.2365 0.6596 0.6596 Mg
0.2657 0.1704 0.6519 Mg
0.2657 0.6519 0.1704 Mg
0.2696 0.1701 0.1701 Mg
0.5000 0.5014 0.5014 Mg
0.5000 0.5025 0.9956 Mg
0.5000 0.9956 0.5025 Mg
0.5000 0.9985 0.9985 Mg
0.7304 0.1701 0.1701 Mg
0.7343 0.1704 0.6519 Mg
0.7343 0.6519 0.1704 Mg
0.7635 0.6596 0.6596 Mg
0.0000 0.4972 0.4972 Cu
```


Which of them is least stable? Easy: *a*.